[1]
Density functional theory data (r²SCAN) for Li4Ti3Mn3Co2O16 after structural relaxation.

```
Li4Ti3Mn3Co2O16
1.0
5.773 0.000 0.000
2.866 5.017 0.000
0.091 0.016 9.570
Li Ti Mn Co O
4 3 3 2 16
Cartesian
0.000 0.000 0.000
2.905 5.004 4.774
2.785 1.615 3.736
5.711 3.288 8.570
2.790 3.284 6.852
4.287 0.832 6.862
7.103 4.136 2.052
1.442 0.780 6.861
4.259 4.129 2.075
5.699 1.653 2.079
2.900 1.649 9.518
5.726 3.293 4.699
1.532 2.347 7.978
1.323 0.769 1.071
2.832 3.399 1.019
4.246 4.193 5.825
2.826 1.610 5.794
2.832 0.113 7.972
4.149 2.378 7.969
5.655 4.803 3.171
4.395 2.553 3.149
5.648 3.278 1.034
4.354 0.777 1.019
7.247 4.177 5.779
5.786 1.551 5.822
6.973 2.531 3.172
8.611 5.002 3.008
8.651 4.989 7.813
```

Computed properties:
Magnetic moment (Bohr magnetons per cell): 15.000
Total energy (eV/atom): -10.058
Calculated density (g/cm3): 4.253
Formation energy from the elements (eV/atom): -2.399


[2]
Density functional theory data (r²SCAN) for LiCo3NiO8 after structural relaxation.

```
LiCo3NiO8
1.0
5.571 0.000 0.000
2.779 5.071 0.000
0.009 3.091 9.133
Li Co Ni O
2 6 2 16
Cartesian
0.000 0.000 0.000
2.767 1.562 4.581
2.769 3.316 2.286
4.164 4.092 4.566
4.159 2.540 0.003
5.559 4.862 6.851
6.950 4.092 4.566
6.944 2.541 0.003
2.773 4.862 6.851
5.555 3.316 2.285
1.377 4.205 7.922
1.379 2.661 3.357
2.774 6.290 8.071
2.770 4.700 3.511
2.767 1.933 1.058
2.772 3.435 5.631
4.158 3.971 1.213
4.170 5.519 5.779
4.158 2.662 3.358
4.170 4.205 7.922
5.557 4.748 3.501
5.559 6.241 8.082
5.559 3.483 5.620
5.552 1.884 1.069
6.948 5.519 5.779
6.950 3.970 1.213
```

Computed properties:
Magnetic moment (Bohr magnetons per cell): 3.999
Total energy (eV/atom): -9.065
Calculated density (g/cm3): 4.767
Formation energy from the elements (eV/atom): -1.230


[3]
Density functional theory data (r²SCAN) for LiCo2O4 after structural relaxation.

```
LiCo2O4
1.0
5.601 -5.603 0.000
5.601 5.603 0.000
-0.001 0.000 7.924
Li Co O
8 16 32
Cartesian
1.399 0.000 0.987
4.193 2.794 4.951
4.192 -0.008 6.925
7.009 2.794 2.972
4.199 -2.813 4.946
7.009 -0.008 0.999
9.802 0.000 6.937
7.002 -2.813 2.978
1.397 1.396 5.946
2.801 2.795 0.004
4.205 4.194 1.980
5.601 5.597 3.962
2.798 -0.007 3.963
6.996 4.194 5.944
4.203 1.393 1.984
5.601 2.793 0.000
6.998 1.393 5.940
4.201 -1.407 1.976
5.601 -0.008 3.962
8.400 2.795 7.920
5.601 -2.805 0.000
7.000 -1.407 5.948
9.804 1.396 1.978
8.403 -0.007 3.961
0.144 -0.005 5.840
1.397 1.247 4.070
2.950 2.795 1.882
4.204 4.049 0.104
1.398 -1.260 4.067
2.648 -0.007 5.840
4.202 1.539 0.108
5.458 2.794 1.876
5.743 2.794 6.048
6.997 4.049 7.820
2.946 -0.006 2.086
4.199 1.246 3.861
8.251 2.795 6.042
4.201 -1.262 3.852
5.457 -0.008 2.081
7.000 1.539 7.816
2.947 -2.808 1.872
4.200 -1.554 0.098
5.745 -0.008 5.843
7.003 1.246 4.062
4.201 -4.059 0.101
5.457 -2.806 1.874
7.001 -1.262 4.071
8.255 -0.006 5.837
5.745 -2.806 6.050
7.001 -1.554 7.826
8.554 -0.007 2.084
9.804 1.247 3.854
7.001 -4.059 7.822
8.254 -2.808 6.051
9.804 -1.260 3.857
11.057 -0.005 2.083
```

Computed properties:
Magnetic moment (Bohr magnetons per cell): 7.936
Energy above the most stable polymorph in this dataset (meV/atom): 0
Total energy (eV/atom): -9.057
Calculated density (g/cm3): 5.043
Formation energy from the elements (eV/atom): -1.522


[4]
Density functional theory data (r²SCAN) for Li5CoO4 after structural relaxation.

```
Li5CoO4
1.0
4.651 0.000 0.000
0.000 4.323 4.647
0.000 -4.323 4.647
Li Co O
10 2 8
Cartesian
0.000 0.000 0.000
0.136 1.766 2.193
0.273 1.886 4.493
2.052 -2.438 4.493
2.190 1.766 6.840
2.325 0.000 4.647
2.461 -1.766 6.840
2.599 2.438 4.493
4.378 -1.886 4.493
4.515 -1.766 2.193
0.000 0.000 6.736
2.325 0.000 2.089
0.742 1.219 7.962
1.053 -1.141 5.694
1.273 3.183 5.694
1.583 1.219 3.315
3.068 -1.219 3.315
3.378 -3.183 5.694
3.598 1.141 5.694
3.909 -1.219 7.962
```

Computed properties:
Magnetic moment (Bohr magnetons per cell): 8.000
Total energy (eV/atom): -6.781
Calculated density (g/cm3): 2.802
Formation energy from the elements (eV/atom): -1.875


[5]
Density functional theory data (r²SCAN) for Li6CoO4 after structural relaxation.

```
Li6CoO4
1.0
0.037 -2.077 7.670
3.290 -5.780 -4.348
4.175 6.690 -0.976
Li O Co
24 16 4
Cartesian
3.690 0.434 3.640
2.732 -3.667 1.210
0.835 -2.111 6.790
0.845 -0.673 3.063
2.685 -3.028 -2.734
5.557 0.662 2.309
3.174 2.568 2.896
3.812 -1.601 -1.296
6.667 0.944 -4.445
4.578 -0.218 0.401
3.248 -5.801 1.955
4.770 2.500 1.135
4.375 -4.373 3.393
3.127 3.207 -1.048
1.946 -1.828 0.036
4.255 4.634 0.391
4.568 -1.656 4.127
1.824 0.207 4.972
6.657 -0.494 -0.718
2.925 -0.949 1.945
5.678 -1.373 -2.626
2.934 0.489 -1.782
4.818 1.862 5.079
4.328 -3.735 -0.551
5.560 0.171 4.123
5.036 3.271 -0.639
1.070 -0.477 1.133
4.164 4.132 2.271
5.675 -0.883 -4.440
4.802 -0.022 -1.529
6.433 -0.690 1.212
2.700 -1.145 3.875
3.339 -5.298 0.073
2.909 1.798 4.670
4.593 -2.964 -2.325
3.781 0.937 1.759
2.466 -4.437 2.984
1.942 -1.338 -1.778
3.721 -2.103 0.586
1.828 -0.284 6.785
5.719 1.722 -1.655
5.516 -2.434 1.337
1.783 -2.889 4.000
1.986 1.267 1.008
```

Computed properties:
Magnetic moment (Bohr magnetons per cell): 6.000
Total energy (eV/atom): -6.561
Calculated density (g/cm3): 2.830
Formation energy from the elements (eV/atom): -1.885


[6]
Density functional theory data (r²SCAN) for Li2CoO3 after structural relaxation.

```
Li2CoO3
1.0
4.945 0.000 0.000
0.000 8.343 0.000
-1.646 0.000 4.585
Li Co O
8 4 12
Cartesian
0.000 0.762 0.000
-0.823 7.581 2.293
-0.824 2.086 2.308
-0.001 6.257 0.015
-0.001 3.411 0.030
-0.825 4.932 2.323
2.471 2.075 0.016
1.648 6.268 2.308
1.639 0.662 2.299
2.463 7.680 0.006
1.658 3.511 2.316
2.481 4.832 0.024
0.124 0.580 3.443
0.894 2.089 1.303
0.071 6.254 3.596
0.947 7.763 1.150
0.143 3.596 3.449
0.966 4.747 1.156
3.155 0.574 1.167
2.332 7.769 3.460
2.403 2.082 3.312
3.227 6.260 1.019
3.173 3.591 1.172
2.350 4.752 3.464
```

Computed properties:
Magnetic moment (Bohr magnetons per cell): 4.000
Total energy (eV/atom): -7.752
Calculated density (g/cm3): 4.242
Formation energy from the elements (eV/atom): -1.765